Lu4MgGe4: relaxed, GGA-PBE.

The structure in POSCAR format:
```
Lu4MgGe4
1.0
7.108 0.000 0.000
0.000 7.641 0.000
0.000 0.000 14.302
Ge Lu Mg
16 16 4
direct
0.293 0.860 0.750
0.324 0.965 0.036
0.676 0.035 0.536
0.027 0.093 0.750
0.324 0.965 0.464
0.824 0.535 0.464
0.793 0.640 0.750
0.207 0.360 0.250
0.973 0.907 0.250
0.176 0.465 0.964
0.707 0.140 0.250
0.527 0.407 0.750
0.176 0.465 0.536
0.676 0.035 0.964
0.473 0.593 0.250
0.824 0.535 0.036
0.993 0.818 0.593
0.493 0.682 0.593
0.507 0.318 0.407
0.167 0.676 0.374
0.493 0.682 0.907
0.167 0.676 0.126
0.007 0.182 0.093
0.333 0.176 0.626
0.833 0.324 0.626
0.667 0.824 0.126
0.667 0.824 0.374
0.333 0.176 0.874
0.507 0.318 0.093
0.007 0.182 0.407
0.993 0.818 0.907
0.833 0.324 0.874
0.663 0.985 0.750
0.837 0.485 0.250
0.163 0.515 0.750
0.337 0.015 0.250
```

Summary:
Crystal system   orthorhombic
E_form   -0.76 eV per atom